The following is a DFT calculation (PBE) of an optimized crystal structure of Na18Ca4Ta20Si27S9O144.

Lattice parameters (Å, degrees): 8.998 15.573 22.912 90.15 90.08 90.06
Fractional positions:
Na1 0.000 0.000 0.000
Na2 0.000 0.349 0.831
Na3 0.001 0.339 0.339
Na4 0.004 0.676 0.172
Na5 0.122 0.508 0.257
Na6 0.201 0.186 0.255
Na7 0.296 0.686 0.759
Na8 0.375 0.007 0.759
Na9 0.494 0.839 0.326
Na10 0.495 0.175 0.678
Na11 0.496 0.836 0.842
Na12 0.497 0.500 0.502
Na13 0.499 0.168 0.174
Na14 0.504 0.508 0.003
Na15 0.698 0.685 0.246
Na16 0.800 0.185 0.748
Na17 0.997 0.666 0.677
Na18 0.998 0.007 0.506
Ca1 0.002 0.663 0.817
Ca2 0.004 0.668 0.314
Ca3 0.494 0.168 0.316
Ca4 0.494 0.169 0.814
Ta1 0.000 0.660 0.023
Ta2 0.005 0.994 0.141
Ta3 0.006 0.334 0.484
Ta4 0.007 0.660 0.527
Ta5 0.010 0.999 0.353
Ta6 0.011 0.999 0.851
Ta7 0.485 0.500 0.350
Ta8 0.488 0.168 0.526
Ta9 0.489 0.161 0.026
Ta10 0.491 0.834 0.984
Ta11 0.494 0.495 0.643
Ta12 0.496 0.498 0.858
Ta13 0.498 0.836 0.188
Ta14 0.501 0.502 0.143
Ta15 0.501 0.834 0.488
Ta16 0.502 0.838 0.687
Ta17 0.993 0.338 0.986
Ta18 0.996 0.002 0.644
Ta19 0.996 0.339 0.185
Ta20 0.998 0.337 0.690
Si1 0.138 0.147 0.747
Si2 0.138 0.190 0.085
Si3 0.143 0.856 0.745
Si4 0.147 0.480 0.084
Si5 0.149 0.519 0.416
Si6 0.199 0.168 0.416
Si7 0.210 0.829 0.085
Si8 0.213 0.498 0.749
Si9 0.283 0.333 0.586
Si10 0.290 0.998 0.246
Si11 0.294 0.669 0.916
Si12 0.349 0.018 0.916
Si13 0.351 0.980 0.585
Si14 0.353 0.356 0.245
Si15 0.357 0.689 0.587
Si16 0.359 0.648 0.247
Si17 0.643 0.976 0.084
Si18 0.647 0.361 0.750
Si19 0.647 0.692 0.085
Si20 0.705 0.332 0.085
Si21 0.717 0.995 0.750
Si22 0.780 0.494 0.251
Si23 0.793 0.833 0.585
Si24 0.848 0.861 0.249
Si25 0.851 0.517 0.917
Si26 0.852 0.475 0.585
Si27 0.853 0.192 0.585
S1 0.150 0.817 0.420
S2 0.348 0.315 0.921
S3 0.634 0.644 0.749
S4 0.647 0.017 0.420
S5 0.647 0.316 0.420
S6 0.700 0.669 0.420
S7 0.797 0.167 0.920
S8 0.850 0.817 0.919
S9 0.863 0.143 0.249
O1 0.046 0.238 0.745
O2 0.065 0.097 0.807
O3 0.066 0.573 0.077
O4 0.067 0.095 0.093
O5 0.068 0.434 0.142
O6 0.069 0.237 0.029
O7 0.075 0.763 0.746
O8 0.078 0.905 0.415
O9 0.079 0.424 0.431
O10 0.083 0.776 0.471
O11 0.084 0.548 0.355
O12 0.085 0.247 0.431
O13 0.086 0.912 0.690
O14 0.090 0.087 0.692
O15 0.091 0.079 0.412
O16 0.102 0.747 0.074
O17 0.104 0.587 0.471
O18 0.106 0.916 0.091
O19 0.107 0.418 0.029
O20 0.110 0.249 0.144
O21 0.116 0.584 0.746
O22 0.116 0.918 0.805
O23 0.118 0.409 0.743
O24 0.133 0.770 0.366
O25 0.163 0.011 0.913
O26 0.167 0.351 0.243
O27 0.170 0.009 0.193
O28 0.173 0.657 0.971
O29 0.174 0.990 0.588
O30 0.176 0.682 0.575
O31 0.178 0.990 0.307
O32 0.180 0.317 0.643
O33 0.182 0.347 0.529
O34 0.183 0.651 0.248
O35 0.185 0.328 0.930
O36 0.224 0.693 0.854
O37 0.274 0.185 0.355
O38 0.313 0.150 0.748
O39 0.314 0.832 0.429
O40 0.316 0.848 0.029
O41 0.317 0.818 0.142
O42 0.321 0.181 0.075
O43 0.323 0.156 0.471
O44 0.324 0.489 0.089
O45 0.324 0.490 0.807
O46 0.329 0.506 0.693
O47 0.331 0.853 0.742
O48 0.335 0.511 0.414
O49 0.365 0.268 0.867
O50 0.379 0.908 0.244
O51 0.380 0.418 0.305
O52 0.386 0.750 0.644
O53 0.387 0.083 0.248
O54 0.393 0.087 0.971
O55 0.393 0.249 0.575
O56 0.393 0.417 0.590
O57 0.394 0.918 0.528
O58 0.397 0.579 0.911
O59 0.406 0.587 0.192
O60 0.412 0.411 0.190
O61 0.413 0.048 0.854
O62 0.413 0.747 0.932
O63 0.417 0.272 0.972
O64 0.418 0.403 0.917
O65 0.419 0.924 0.931
O66 0.422 0.263 0.247
O67 0.426 0.739 0.529
O68 0.431 0.595 0.591
O69 0.431 0.934 0.642
O70 0.432 0.598 0.307
O71 0.433 0.073 0.574
O72 0.451 0.738 0.246
O73 0.552 0.729 0.745
O74 0.565 0.933 0.142
O75 0.567 0.073 0.074
O76 0.570 0.603 0.803
O77 0.570 0.740 0.031
O78 0.573 0.596 0.091
O79 0.574 0.403 0.417
O80 0.579 0.270 0.471
O81 0.582 0.928 0.429
O82 0.584 0.049 0.366
O83 0.584 0.414 0.693
O84 0.585 0.265 0.749
O85 0.597 0.745 0.430
O86 0.598 0.593 0.696
O87 0.604 0.247 0.071
O88 0.605 0.418 0.090
O89 0.606 0.419 0.808
O90 0.607 0.590 0.418
O91 0.612 0.907 0.744
O92 0.615 0.072 0.471
O93 0.615 0.079 0.750
O94 0.615 0.750 0.145
O95 0.615 0.918 0.027
O96 0.629 0.268 0.366
O97 0.666 0.857 0.245
O98 0.667 0.507 0.912
O99 0.672 0.503 0.194
O100 0.673 0.180 0.569
O101 0.674 0.484 0.310
O102 0.676 0.492 0.592
O103 0.679 0.845 0.528
O104 0.680 0.817 0.640
O105 0.687 0.831 0.929
O106 0.691 0.159 0.970
O107 0.705 0.154 0.255
O108 0.721 0.184 0.864
O109 0.776 0.686 0.365
O110 0.792 0.657 0.752
O111 0.805 0.661 0.470
O112 0.809 0.329 0.429
O113 0.813 0.007 0.416
O114 0.816 0.317 0.141
O115 0.817 0.345 0.029
O116 0.821 0.993 0.093
O117 0.822 0.984 0.810
O118 0.824 0.003 0.693
O119 0.826 0.683 0.074
O120 0.830 0.356 0.744
O121 0.868 0.770 0.865
O122 0.878 0.250 0.644
O123 0.882 0.579 0.251
O124 0.884 0.418 0.527
O125 0.886 0.407 0.245
O126 0.888 0.087 0.917
O127 0.888 0.581 0.974
O128 0.890 0.920 0.309
O129 0.892 0.918 0.589
O130 0.893 0.748 0.570
O131 0.897 0.093 0.196
O132 0.900 0.242 0.930
O133 0.913 0.766 0.250
O134 0.915 0.916 0.194
O135 0.918 0.774 0.971
O136 0.919 0.419 0.931
O137 0.922 0.905 0.915
O138 0.924 0.547 0.858
O139 0.925 0.095 0.590
O140 0.928 0.240 0.530
O141 0.929 0.100 0.304
O142 0.930 0.572 0.574
O143 0.933 0.432 0.641
O144 0.944 0.228 0.247

Values from the calculation:
E (MP2020) in eV per cell: -1819.20
Formation energy in eV/f.u.: -654.00

---

The following is a DFT calculation (PBE) of an optimized crystal structure of K3AlF6.

Lattice parameters (Å, degrees): 6.157 6.157 6.157 60.00 60.00 60.00
Fractional positions:
K1 0.000 0.000 0.000
K2 0.250 0.250 0.250
K3 0.750 0.750 0.750
Al1 0.500 0.500 0.500
F1 0.289 0.289 0.711
F2 0.289 0.711 0.289
F3 0.289 0.711 0.711
F4 0.711 0.289 0.289
F5 0.711 0.289 0.711
F6 0.711 0.711 0.289

Values from the calculation:
E (MP2020) in eV per cell: -52.72
Formation energy in eV/f.u.: -34.15

---

The following is a DFT calculation (PBE) of an optimized crystal structure of CuSeO4.

Lattice parameters (Å, degrees): 4.928 4.928 6.675 90.00 90.00 111.06
Fractional positions:
Cu1 0.000 0.000 0.000
Cu2 0.000 0.000 0.500
Se1 0.348 0.652 0.750
Se2 0.652 0.348 0.250
O1 0.223 0.281 0.750
O2 0.239 0.761 0.538
O3 0.239 0.761 0.962
O4 0.281 0.223 0.250
O5 0.719 0.777 0.750
O6 0.761 0.239 0.038
O7 0.761 0.239 0.462
O8 0.777 0.719 0.250

Values from the calculation:
E (MP2020) in eV per cell: -66.70
Formation energy in eV/f.u.: -5.97

---

The following is a DFT calculation (PBE) of an optimized crystal structure of SmCo3P2.

Lattice parameters (Å, degrees): 3.746 10.615 12.296 90.00 90.00 90.00
Fractional positions:
Sm1 0.250 0.066 0.206
Sm2 0.250 0.250 0.476
Sm3 0.250 0.434 0.206
Sm4 0.750 0.566 0.794
Sm5 0.750 0.750 0.524
Sm6 0.750 0.934 0.794
Co1 0.250 0.131 0.708
Co2 0.250 0.250 0.014
Co3 0.250 0.369 0.708
Co4 0.250 0.546 0.431
Co5 0.250 0.584 0.994
Co6 0.250 0.750 0.158
Co7 0.250 0.750 0.703
Co8 0.250 0.916 0.994
Co9 0.250 0.954 0.431
Co10 0.750 0.046 0.569
Co11 0.750 0.084 0.006
Co12 0.750 0.250 0.297
Co13 0.750 0.250 0.842
Co14 0.750 0.416 0.006
Co15 0.750 0.454 0.569
Co16 0.750 0.631 0.292
Co17 0.750 0.750 0.986
Co18 0.750 0.869 0.292
P1 0.250 0.100 0.895
P2 0.250 0.400 0.895
P3 0.250 0.558 0.615
P4 0.250 0.750 0.343
P5 0.250 0.750 0.884
P6 0.250 0.942 0.615
P7 0.750 0.058 0.385
P8 0.750 0.250 0.116
P9 0.750 0.250 0.657
P10 0.750 0.442 0.385
P11 0.750 0.600 0.105
P12 0.750 0.900 0.105

Values from the calculation:
Formation energy in eV/f.u.: -5.35

---

The following is a DFT calculation (PBE) of an optimized crystal structure of Nb2Co4P3.

Lattice parameters (Å, degrees): 11.918 11.918 3.607 90.00 90.00 120.00
Fractional positions:
Nb1 0.000 0.448 0.000
Nb2 0.000 0.824 0.500
Nb3 0.176 0.176 0.500
Nb4 0.333 0.667 0.000
Nb5 0.448 0.000 0.000
Nb6 0.552 0.552 0.000
Nb7 0.667 0.333 0.000
Nb8 0.824 0.000 0.500
Co1 0.000 0.000 0.000
Co2 0.000 0.276 0.500
Co3 0.129 0.646 0.500
Co4 0.179 0.371 0.000
Co5 0.192 0.821 0.000
Co6 0.276 0.000 0.500
Co7 0.354 0.483 0.500
Co8 0.371 0.179 0.000
Co9 0.483 0.354 0.500
Co10 0.517 0.871 0.500
Co11 0.629 0.808 0.000
Co12 0.646 0.129 0.500
Co13 0.724 0.724 0.500
Co14 0.808 0.629 0.000
Co15 0.821 0.192 0.000
Co16 0.871 0.517 0.500
P1 0.000 0.176 0.000
P2 0.000 0.650 0.000
P3 0.172 0.484 0.500
P4 0.176 0.000 0.000
P5 0.312 0.828 0.500
P6 0.350 0.350 0.000
P7 0.484 0.172 0.500
P8 0.516 0.688 0.500
P9 0.650 0.000 0.000
P10 0.688 0.516 0.500
P11 0.824 0.824 0.000
P12 0.828 0.312 0.500

Values from the calculation:
Formation energy in eV/f.u.: -6.92

---

The following is a DFT calculation (PBE) of an optimized crystal structure of LiNbO3.

Lattice parameters (Å, degrees): 5.727 5.727 5.727 54.96 54.96 54.96
Fractional positions:
Li1 0.138 0.138 0.138
Li2 0.862 0.862 0.862
Nb1 0.356 0.356 0.356
Nb2 0.644 0.644 0.644
O1 0.062 0.716 0.454
O2 0.284 0.546 0.938
O3 0.454 0.062 0.716
O4 0.546 0.938 0.284
O5 0.716 0.454 0.062
O6 0.938 0.284 0.546

Values from the calculation:
E (MP2020) in eV per cell: -82.50
Formation energy in eV/f.u.: -14.39

---

The following is a DFT calculation (PBE) of an optimized crystal structure of AlB5H16N2O14.

Lattice parameters (Å, degrees): 7.131 7.131 14.220 90.00 90.00 91.92
Fractional positions:
Al1 0.144 0.144 0.000
Al2 0.856 0.856 0.500
B1 0.212 0.779 0.916
B2 0.221 0.788 0.584
B3 0.226 0.445 0.871
B4 0.306 0.694 0.750
B5 0.445 0.226 0.129
B6 0.555 0.774 0.629
B7 0.694 0.306 0.250
B8 0.774 0.555 0.371
B9 0.779 0.212 0.084
B10 0.788 0.221 0.416
H1 0.007 0.489 0.161
H2 0.041 0.729 0.173
H3 0.048 0.067 0.213
H4 0.067 0.048 0.787
H5 0.092 0.619 0.069
H6 0.201 0.494 0.381
H7 0.226 0.597 0.164
H8 0.271 0.959 0.327
H9 0.286 0.340 0.550
H10 0.338 0.421 0.300
H11 0.340 0.286 0.450
H12 0.381 0.908 0.431
H13 0.403 0.774 0.336
H14 0.421 0.338 0.700
H15 0.489 0.007 0.839
H16 0.494 0.201 0.619
H17 0.506 0.799 0.119
H18 0.511 0.993 0.339
H19 0.579 0.662 0.200
H20 0.597 0.226 0.836
H21 0.619 0.092 0.931
H22 0.660 0.714 0.950
H23 0.662 0.579 0.800
H24 0.714 0.660 0.050
H25 0.729 0.041 0.827
H26 0.774 0.403 0.664
H27 0.799 0.506 0.881
H28 0.908 0.381 0.569
H29 0.933 0.952 0.287
H30 0.952 0.933 0.713
H31 0.959 0.271 0.673
H32 0.993 0.511 0.661
N1 0.088 0.607 0.142
N2 0.393 0.912 0.358
N3 0.607 0.088 0.858
N4 0.912 0.393 0.642
O1 0.050 0.950 0.250
O2 0.096 0.815 0.515
O3 0.170 0.726 0.673
O4 0.183 0.587 0.937
O5 0.185 0.904 0.985
O6 0.214 0.264 0.897
O7 0.251 0.251 0.500
O8 0.264 0.214 0.103
O9 0.274 0.830 0.827
O10 0.278 0.497 0.781
O11 0.295 0.532 0.334
O12 0.413 0.817 0.563
O13 0.468 0.705 0.166
O14 0.497 0.278 0.219
O15 0.503 0.722 0.719
O16 0.532 0.295 0.666
O17 0.587 0.183 0.063
O18 0.705 0.468 0.834
O19 0.722 0.503 0.281
O20 0.726 0.170 0.327
O21 0.736 0.786 0.603
O22 0.749 0.749 0.000
O23 0.786 0.736 0.397
O24 0.815 0.096 0.485
O25 0.817 0.413 0.437
O26 0.830 0.274 0.173
O27 0.904 0.185 0.015
O28 0.950 0.050 0.750

Values from the calculation:
E (MP2020) in eV per cell: -487.07
Formation energy in eV/f.u.: -66.17